Record 1
TiMn2O4 | the Materials Project | GGA+U | relaxed; volume = 12.1 A^3/atom; ΔE_f = -18.730 eV/f.u.; space-group type = P4_322 (95); ρ = 4353 kg/m³
1.0
6.233 0.000 0.000
0.000 6.233 0.000
0.000 0.000 8.709
Ti Mn O
4 8 16
direct
0.500 0.245 0.000 Ti
0.755 0.500 0.750 Ti
0.245 0.500 0.250 Ti
0.500 0.755 0.500 Ti
0.000 0.255 0.000 Mn
0.745 0.000 0.750 Mn
0.255 0.000 0.250 Mn
0.000 0.745 0.500 Mn
0.252 0.252 0.625 Mn
0.748 0.252 0.375 Mn
0.252 0.748 0.875 Mn
0.748 0.748 0.125 Mn
0.272 0.036 0.996 O
0.964 0.272 0.746 O
0.036 0.728 0.246 O
0.272 0.964 0.504 O
0.728 0.036 0.004 O
0.728 0.964 0.496 O
0.036 0.272 0.254 O
0.964 0.728 0.754 O
0.271 0.486 0.022 O
0.514 0.271 0.772 O
0.486 0.729 0.272 O
0.271 0.514 0.478 O
0.729 0.486 0.978 O
0.729 0.514 0.522 O
0.486 0.271 0.228 O
0.514 0.729 0.728 O

---

Record 2
Sr4Ni3O9 | the Materials Project | GGA+U | relaxed; volume = 12.9 A^3/atom; ΔE_f = -33.296 eV/f.u.; spin magnetization = 6.0 Bohr magnetons per cell; space-group type = P321 (150); ρ = 5406 kg/m³
1.0
4.772 -8.265 0.000
4.772 8.265 0.000
0.000 0.000 7.834
Sr Ni O
12 9 27
direct
0.024 0.691 0.251 Sr
0.000 0.359 0.000 Sr
0.000 0.332 0.500 Sr
0.309 0.333 0.251 Sr
0.333 0.309 0.749 Sr
0.667 0.976 0.251 Sr
0.641 0.641 0.000 Sr
0.332 0.000 0.500 Sr
0.668 0.668 0.500 Sr
0.359 0.000 0.000 Sr
0.976 0.667 0.749 Sr
0.691 0.024 0.749 Sr
0.333 0.667 0.421 Ni
0.333 0.667 0.100 Ni
0.000 0.000 0.000 Ni
0.000 0.000 0.341 Ni
0.000 0.000 0.659 Ni
0.333 0.667 0.760 Ni
0.667 0.333 0.579 Ni
0.667 0.333 0.900 Ni
0.667 0.333 0.240 Ni
0.000 0.850 0.500 O
0.153 0.989 0.801 O
0.184 0.683 0.959 O
0.181 0.672 0.562 O
0.173 0.520 0.259 O
0.011 0.164 0.801 O
0.346 0.827 0.259 O
0.317 0.501 0.959 O
0.328 0.509 0.562 O
0.150 0.150 0.500 O
0.491 0.819 0.562 O
0.499 0.816 0.959 O
0.480 0.654 0.259 O
0.164 0.011 0.199 O
0.501 0.317 0.041 O
0.509 0.328 0.438 O
0.654 0.480 0.741 O
0.836 0.847 0.801 O
0.847 0.836 0.199 O
0.520 0.173 0.741 O
0.816 0.499 0.041 O
0.819 0.491 0.438 O
0.672 0.181 0.438 O
0.683 0.184 0.041 O
0.827 0.346 0.741 O
0.850 0.000 0.500 O
0.989 0.153 0.199 O

---

Record 3
KCr2FeH2O8 | the Materials Project | GGA+U | relaxed; volume = 15.3 A^3/atom; ΔE_f = -16.724 eV/f.u.; spin magnetization = 3.0 Bohr magnetons per cell; space-group type = C2/m (12); ρ = 2545 kg/m³
1.0
-3.764 -4.745 0.864
-0.759 -3.097 5.222
-6.521 2.149 3.685
K Cr Fe H O
1 2 1 2 8
direct
0.000 0.000 0.500 K
0.394 0.394 0.282 Cr
0.606 0.606 0.718 Cr
0.000 0.000 0.000 Fe
0.825 0.825 0.076 H
0.175 0.175 0.924 H
0.743 0.229 0.185 O
0.257 0.771 0.815 O
0.771 0.257 0.815 O
0.229 0.743 0.185 O
0.644 0.644 0.493 O
0.356 0.356 0.507 O
0.259 0.259 0.245 O
0.741 0.741 0.755 O